# 1
Si3Mo2O12 | GGA+U | relaxed

The structure in POSCAR format:
```
Si3Mo2O12
1.0
-5.9904 5.9904 5.9904
5.9904 -5.9904 5.9904
5.9904 5.9904 -5.9904
Si Mo O
12 8 48
Cartesian
8.9856 1.4976 0.0000 Si
5.9904 -2.9952 4.4928 Si
4.4928 5.9904 -2.9952 Si
4.4928 0.0000 2.9952 Si
2.9952 4.4928 0.0000 Si
5.9904 2.9952 1.4976 Si
0.0000 2.9952 4.4928 Si
2.9952 1.4976 5.9904 Si
1.4976 5.9904 2.9952 Si
1.4976 0.0000 8.9856 Si
0.0000 8.9856 1.4976 Si
-2.9952 4.4928 5.9904 Si
0.0000 0.0000 0.0000 Mo
2.9952 2.9952 -2.9952 Mo
2.9952 -2.9952 2.9952 Mo
5.9904 0.0000 0.0000 Mo
-2.9952 2.9952 2.9952 Mo
0.0000 5.9904 0.0000 Mo
0.0000 0.0000 5.9904 Mo
2.9952 2.9952 2.9952 Mo
1.7982 -0.4972 0.5160 O
7.1874 3.5112 -3.4925 O
7.7886 0.4972 0.5160 O
7.1874 -2.4792 3.4925 O
5.4932 -0.5160 1.7982 O
9.4829 -1.1970 2.4792 O
0.5160 1.7982 -0.4972 O
8.4697 2.4980 -1.1970 O
3.5112 3.4925 -1.1970 O
5.4745 1.7982 0.4972 O
-0.4972 0.5160 1.7982 O
3.4925 -1.1970 3.5112 O
5.4932 5.4745 -1.7982 O
3.4925 1.1970 2.4792 O
3.5112 -3.4925 7.1874 O
5.4745 -1.7982 5.4932 O
2.4792 3.4925 1.1970 O
6.5064 4.1922 0.4972 O
3.4925 7.1874 -2.4792 O
5.4932 0.5160 4.1922 O
1.7982 5.4932 -0.5160 O
7.1874 2.4792 2.4980 O
1.1970 2.4792 3.4925 O
1.7982 0.4972 5.4745 O
4.1922 5.4932 0.5160 O
4.7934 3.5112 2.4980 O
-1.1970 3.5112 3.4925 O
4.1922 0.4972 6.5064 O
0.4972 5.4745 1.7982 O
2.4980 -1.1970 8.4697 O
-0.5160 1.7982 5.4932 O
3.5112 2.4980 4.7934 O
0.5160 7.7886 0.4972 O
2.4792 9.4829 -1.1970 O
2.4980 4.7934 3.5112 O
0.4972 0.5160 7.7886 O
2.4980 7.1874 2.4792 O
6.4877 5.4745 4.1922 O
0.5160 4.1922 5.4932 O
2.4792 2.4980 7.1874 O
-2.4792 3.4925 7.1874 O
5.4745 4.1922 6.4877 O
-3.4925 7.1874 3.5112 O
0.4972 6.5064 4.1922 O
-1.1970 8.4697 2.4980 O
-1.7982 5.4932 5.4745 O
-1.1970 2.4792 9.4829 O
4.1922 6.4877 5.4745 O
```

Values from the calculation:
Space-group type: Ia-3d (230)
E_form, eV per atom: -2.4576
Calculated volume, Å³/f.u.: 215.0

# 2
Si4MoO10 | GGA+U | relaxed

The structure in POSCAR format:
```
Si4MoO10
1.0
7.5561 0.0000 0.0000
0.0000 7.5561 0.0000
0.0000 0.0000 15.7730
Si Mo O
16 4 40
Cartesian
0.0692 0.6108 2.3904 Si
0.0692 3.1673 10.2769 Si
0.6108 0.0692 10.2769 Si
0.6108 3.7089 2.3904 Si
3.1673 0.0692 2.3904 Si
3.1673 3.7089 10.2769 Si
3.7089 0.6108 10.2769 Si
3.7089 3.1673 2.3904 Si
3.8472 4.3889 13.3827 Si
3.8472 6.9453 5.4962 Si
4.3889 3.8472 5.4962 Si
4.3889 7.4870 13.3827 Si
6.9453 3.8472 13.3827 Si
6.9453 7.4870 5.4962 Si
7.4870 4.3889 5.4962 Si
7.4870 6.9453 13.3827 Si
1.8890 1.8890 6.6492 Mo
1.8890 1.8890 14.5357 Mo
5.6671 5.6671 1.2373 Mo
5.6671 5.6671 9.1238 Mo
0.0475 1.5702 9.9791 O
0.0475 2.2079 2.0926 O
0.1615 0.9889 6.4618 O
0.1615 2.7891 14.3483 O
0.3401 4.1182 3.9433 O
0.3401 7.2160 11.8298 O
0.9889 0.1615 14.3483 O
0.9889 3.6166 6.4618 O
1.5702 0.0475 2.0926 O
1.5702 3.7306 9.9791 O
2.2079 0.0475 9.9791 O
2.2079 3.7306 2.0926 O
2.7891 0.1615 6.4618 O
2.7891 3.6166 14.3483 O
3.4379 4.1182 11.8298 O
3.4379 7.2160 3.9433 O
3.6166 0.9889 14.3483 O
3.6166 2.7891 6.4618 O
3.7306 1.5702 2.0926 O
3.7306 2.2079 9.9791 O
3.8256 5.3483 5.7939 O
3.8256 5.9860 13.6804 O
3.9396 4.7670 9.3112 O
3.9396 6.5672 1.4247 O
4.1182 0.3401 11.8298 O
4.1182 3.4379 3.9433 O
4.7670 3.9396 1.4247 O
4.7670 7.3947 9.3112 O
5.3483 3.8256 13.6804 O
5.3483 7.5087 5.7939 O
5.9860 3.8256 5.7939 O
5.9860 7.5087 13.6804 O
6.5672 3.9396 9.3112 O
6.5672 7.3947 1.4247 O
7.2160 0.3401 3.9433 O
7.2160 3.4379 11.8298 O
7.3947 4.7670 1.4247 O
7.3947 6.5672 9.3112 O
7.5087 5.3483 13.6804 O
7.5087 5.9860 5.7939 O
```

Values from the calculation:
Space-group type: P4/ncc (130)
E_form, eV per atom: -2.8172
Calculated volume, Å³/f.u.: 225.1

# 3
SiMoO3 | GGA+U | relaxed

The structure in POSCAR format:
```
SiMoO3
1.0
3.6455 0.0000 0.0000
0.0000 3.6455 0.0000
0.0000 0.0000 3.6455
Si Mo O
1 1 3
Cartesian
0.0000 0.0000 0.0000 Si
1.8228 1.8228 1.8228 Mo
0.0000 0.0000 1.8228 O
0.0000 1.8228 0.0000 O
1.8228 0.0000 0.0000 O
```

Values from the calculation:
Space-group type: Pm-3m (221)
E_form, eV per atom: -1.6749
Calculated volume, Å³/f.u.: 48.4

# 4
Si2MoO6 | GGA+U | relaxed

The structure in POSCAR format:
```
Si2MoO6
1.0
4.8879 -4.4900 0.0000
4.8879 4.4900 0.0000
-1.7605 0.0000 5.1635
Si Mo O
4 2 12
Cartesian
1.5075 0.7481 1.2392 Si
0.6272 -0.7481 3.8209 Si
7.3880 0.7481 1.3426 Si
6.5078 -0.7481 3.9243 Si
3.5675 0.9006 3.8726 Mo
4.4478 -0.9006 1.2909 Mo
2.1335 2.2251 4.1548 O
0.5857 0.0678 2.4084 O
-0.2946 -0.0678 4.9901 O
3.0855 0.6432 1.7968 O
5.0015 2.2251 3.5905 O
2.2052 -0.6432 4.3785 O
5.8100 0.6432 0.7850 O
3.0138 -2.2251 1.5731 O
4.9298 -0.6432 3.3667 O
8.3098 0.0678 0.1734 O
7.4296 -0.0678 2.7552 O
5.8817 -2.2251 1.0087 O
```

Values from the calculation:
Offset from the most stable computed form, eV/atom: 0.0000
Space-group type: C2/c (15)
E_form, eV per atom: -2.7538
Calculated volume, Å³/f.u.: 113.3

What did the first record say?
Si3Mo2O12 | GGA+U | relaxed

The structure in POSCAR format:
```
Si3Mo2O12
1.0
-5.9904 5.9904 5.9904
5.9904 -5.9904 5.9904
5.9904 5.9904 -5.9904
Si Mo O
12 8 48
Cartesian
8.9856 1.4976 0.0000 Si
5.9904 -2.9952 4.4928 Si
4.4928 5.9904 -2.9952 Si
4.4928 0.0000 2.9952 Si
2.9952 4.4928 0.0000 Si
5.9904 2.9952 1.4976 Si
0.0000 2.9952 4.4928 Si
2.9952 1.4976 5.9904 Si
1.4976 5.9904 2.9952 Si
1.4976 0.0000 8.9856 Si
0.0000 8.9856 1.4976 Si
-2.9952 4.4928 5.9904 Si
0.0000 0.0000 0.0000 Mo
2.9952 2.9952 -2.9952 Mo
2.9952 -2.9952 2.9952 Mo
5.9904 0.0000 0.0000 Mo
-2.9952 2.9952 2.9952 Mo
0.0000 5.9904 0.0000 Mo
0.0000 0.0000 5.9904 Mo
2.9952 2.9952 2.9952 Mo
1.7982 -0.4972 0.5160 O
7.1874 3.5112 -3.4925 O
7.7886 0.4972 0.5160 O
7.1874 -2.4792 3.4925 O
5.4932 -0.5160 1.7982 O
9.4829 -1.1970 2.4792 O
0.5160 1.7982 -0.4972 O
8.4697 2.4980 -1.1970 O
3.5112 3.4925 -1.1970 O
5.4745 1.7982 0.4972 O
-0.4972 0.5160 1.7982 O
3.4925 -1.1970 3.5112 O
5.4932 5.4745 -1.7982 O
3.4925 1.1970 2.4792 O
3.5112 -3.4925 7.1874 O
5.4745 -1.7982 5.4932 O
2.4792 3.4925 1.1970 O
6.5064 4.1922 0.4972 O
3.4925 7.1874 -2.4792 O
5.4932 0.5160 4.1922 O
1.7982 5.4932 -0.5160 O
7.1874 2.4792 2.4980 O
1.1970 2.4792 3.4925 O
1.7982 0.4972 5.4745 O
4.1922 5.4932 0.5160 O
4.7934 3.5112 2.4980 O
-1.1970 3.5112 3.4925 O
4.1922 0.4972 6.5064 O
0.4972 5.4745 1.7982 O
2.4980 -1.1970 8.4697 O
-0.5160 1.7982 5.4932 O
3.5112 2.4980 4.7934 O
0.5160 7.7886 0.4972 O
2.4792 9.4829 -1.1970 O
2.4980 4.7934 3.5112 O
0.4972 0.5160 7.7886 O
2.4980 7.1874 2.4792 O
6.4877 5.4745 4.1922 O
0.5160 4.1922 5.4932 O
2.4792 2.4980 7.1874 O
-2.4792 3.4925 7.1874 O
5.4745 4.1922 6.4877 O
-3.4925 7.1874 3.5112 O
0.4972 6.5064 4.1922 O
-1.1970 8.4697 2.4980 O
-1.7982 5.4932 5.4745 O
-1.1970 2.4792 9.4829 O
4.1922 6.4877 5.4745 O
```

Values from the calculation:
Space-group type: Ia-3d (230)
E_form, eV per atom: -2.4576
Calculated volume, Å³/f.u.: 215.0